Record 1
# LiVSiO5

A relaxed structure of LiVSiO5 (PBE+U, the Materials Project).

## Properties
total DFT energy (no corrections) = -229.61 eV for the cell shown
calculated volume = 371 Å³ per cell
total magnetic moment = 0.0 μB per cell
energy relative to the lowest polymorph listed for this composition = 15.5 meV per atom
ΔE_f = -2673 meV per atom

abc: 8.940 8.962 4.629
angles: 90.00 90.00 90.00
Space group Cmme (No. 67)
Asymmetric unit:
1 Li 0.250 0.250 0.000 [4 per cell]
2 V 0.000 0.250 0.396 [4 per cell]
3 Si 0.250 0.000 0.500 [4 per cell]
4 O 0.000 0.250 0.748 [4 per cell]
5 O 0.148 0.108 0.290 [16 per cell]

---

Record 2
# LiVSi6O14

A relaxed structure of LiVSi6O14 (PBE+U, the Materials Project).

## Properties
total DFT energy (no corrections) = -1347.81 eV for the cell shown
calculated volume = 2144 Å³ per cell
total magnetic moment = 16.0 μB per cell
ΔE_f = -3044 meV per atom

abc: 7.379 15.126 19.212
angles: 90.00 90.00 90.00
Space group Ibam (No. 72)
Asymmetric unit:
1 Li 0.000 0.000 0.000 [4 per cell]
2 Li 0.000 0.500 0.250 [4 per cell]
3 V 0.000 0.287 0.250 [8 per cell]
4 Si 0.156 0.125 0.154 [16 per cell]
5 Si 0.186 0.372 0.000 [8 per cell]
6 Si 0.237 0.335 0.500 [8 per cell]
7 Si 0.243 0.077 0.347 [16 per cell]
8 O 0.032 0.372 0.500 [8 per cell]
9 O 0.060 0.131 0.324 [16 per cell]
10 O 0.078 0.383 0.186 [16 per cell]
11 O 0.158 0.126 0.067 [16 per cell]
12 O 0.228 0.027 0.177 [16 per cell]
13 O 0.233 0.228 0.500 [8 per cell]
14 O 0.236 0.073 0.434 [16 per cell]
15 O 0.249 0.207 0.193 [16 per cell]

---

Record 3
# LiVSiO5

A relaxed structure of LiVSiO5 (PBE+U, the Materials Project).

## Properties
total DFT energy (no corrections) = -115.05 eV for the cell shown
calculated volume = 187 Å³ per cell
energy relative to the lowest polymorph listed for this composition = 0.0 meV per atom
ΔE_f = -2688 meV per atom

abc: 4.662 6.293 6.388
angles: 90.00 92.52 90.00
Space group P2_1/m (No. 11)
Asymmetric unit:
1 Li 0.000 0.000 0.000 [2 per cell]
2 V 0.395 0.250 0.741 [2 per cell]
3 Si 0.498 0.750 0.759 [2 per cell]
4 O 0.256 0.750 0.225 [2 per cell]
5 O 0.264 0.250 0.044 [2 per cell]
6 O 0.291 0.539 0.768 [4 per cell]
7 O 0.326 0.250 0.459 [2 per cell]

---

Record 4
# Li3VSi2O7

A relaxed structure of Li3VSi2O7 (PBE+U, the Materials Project).

## Properties
total DFT energy (no corrections) = -361.34 eV for the cell shown
calculated volume = 566 Å³ per cell
total magnetic moment = 8.0 μB per cell
energy relative to the lowest polymorph listed for this composition = 25.5 meV per atom
ΔE_f = -2811 meV per atom

abc: 8.986 12.544 5.022
angles: 90.00 90.00 90.00
Space group Pnma (No. 62)
Asymmetric unit:
1 Li 0.018 0.250 0.028 [4 per cell]
2 Li 0.162 0.590 0.534 [8 per cell]
3 V 0.000 0.000 0.000 [4 per cell]
4 Si 0.183 0.131 0.511 [8 per cell]
5 O 0.101 0.039 0.336 [8 per cell]
6 O 0.115 0.250 0.411 [4 per cell]
7 O 0.139 0.628 0.936 [8 per cell]
8 O 0.148 0.117 0.827 [8 per cell]

---

Record 5
# LiVSi3O8

A relaxed structure of LiVSi3O8 (PBE+U, the Materials Project).

## Properties
total DFT energy (no corrections) = -393.08 eV for the cell shown
calculated volume = 624 Å³ per cell
total magnetic moment = 8.0 μB per cell
energy relative to the lowest polymorph listed for this composition = 14.8 meV per atom
ΔE_f = -2970 meV per atom

abc: 7.154 12.801 7.713
angles: 90.00 117.97 90.00
Space group P2_1/c (No. 14)
Asymmetric unit:
1 Li 0.115 0.179 0.442 [4 per cell]
2 V 0.101 0.032 0.738 [4 per cell]
3 Si 0.228 0.090 0.124 [4 per cell]
4 Si 0.326 0.657 0.043 [4 per cell]
5 Si 0.418 0.622 0.681 [4 per cell]
6 O 0.092 0.147 0.912 [4 per cell]
7 O 0.110 0.070 0.254 [4 per cell]
8 O 0.123 0.594 0.040 [4 per cell]
9 O 0.295 0.519 0.541 [4 per cell]
10 O 0.296 0.717 0.527 [4 per cell]
11 O 0.327 0.113 0.718 [4 per cell]
12 O 0.361 0.618 0.861 [4 per cell]
13 O 0.458 0.144 0.252 [4 per cell]

---

Record 6
# Li2VSi3O8

A relaxed structure of Li2VSi3O8 (PBE+U, the Materials Project).

## Properties
total DFT energy (no corrections) = -405.90 eV for the cell shown
calculated volume = 522 Å³ per cell
total magnetic moment = 12.0 μB per cell
ΔE_f = -2851 meV per atom

abc: 8.050 8.050 8.050
angles: 90.00 90.00 90.00
Space group P4_332 (No. 212)
Asymmetric unit:
1 Li 0.009 0.009 0.009 [8 per cell]
2 V 0.125 0.875 0.375 [4 per cell]
3 Si 0.110 0.140 0.625 [12 per cell]
4 O 0.080 0.138 0.402 [24 per cell]
5 O 0.121 0.621 0.879 [8 per cell]

---

Record 7
# Li9V5Si2O16

A relaxed structure of Li9V5Si2O16 (PBE+U, the Materials Project).

## Properties
total DFT energy (no corrections) = -215.72 eV for the cell shown
calculated volume = 287 Å³ per cell
total magnetic moment = 6.0 μB per cell
ΔE_f = -2581 meV per atom

abc: 5.105 5.115 11.318
angles: 80.90 85.32 80.34
Space group P-1 (No. 2)
Asymmetric unit:
1 Li 0.000 0.000 0.000 [1 per cell]
2 Li 0.247 0.184 0.308 [2 per cell]
3 Li 0.247 0.427 0.060 [2 per cell]
4 Li 0.247 0.936 0.559 [2 per cell]
5 Li 0.259 0.684 0.824 [2 per cell]
6 V 0.000 0.500 0.500 [1 per cell]
7 V 0.003 0.238 0.763 [2 per cell]
8 V 0.499 0.369 0.632 [2 per cell]
9 Si 0.496 0.880 0.116 [2 per cell]
10 O 0.127 0.574 0.656 [2 per cell]
11 O 0.130 0.832 0.397 [2 per cell]
12 O 0.165 0.062 0.152 [2 per cell]
13 O 0.170 0.316 0.901 [2 per cell]
14 O 0.373 0.301 0.467 [2 per cell]
15 O 0.383 0.580 0.200 [2 per cell]
16 O 0.392 0.041 0.741 [2 per cell]
17 O 0.401 0.821 0.973 [2 per cell]

---

Record 8
# Li2VSiO5

A relaxed structure of Li2VSiO5 (PBE+U, the Materials Project).

## Properties
total DFT energy (no corrections) = -498.86 eV for the cell shown
calculated volume = 742 Å³ per cell
total magnetic moment = 8.0 μB per cell
energy relative to the lowest polymorph listed for this composition = 52.0 meV per atom
ΔE_f = -2714 meV per atom

abc: 13.108 5.068 12.695
angles: 90.00 118.33 90.00
Space group P2_1/c (No. 14)
Asymmetric unit:
1 Li 0.084 0.221 0.429 [4 per cell]
2 Li 0.172 0.724 0.348 [4 per cell]
3 Li 0.326 0.207 0.676 [4 per cell]
4 Li 0.414 0.728 0.346 [4 per cell]
5 V 0.063 0.232 0.692 [4 per cell]
6 V 0.438 0.736 0.629 [4 per cell]
7 Si 0.161 0.719 0.592 [4 per cell]
8 Si 0.338 0.224 0.434 [4 per cell]
9 O 0.012 0.524 0.726 [4 per cell]
10 O 0.098 0.682 0.952 [4 per cell]
11 O 0.108 0.612 0.164 [4 per cell]
12 O 0.142 0.102 0.102 [4 per cell]
13 O 0.199 0.221 0.857 [4 per cell]
14 O 0.299 0.703 0.155 [4 per cell]
15 O 0.364 0.596 0.962 [4 per cell]
16 O 0.380 0.106 0.058 [4 per cell]
17 O 0.405 0.163 0.861 [4 per cell]
18 O 0.499 0.025 0.715 [4 per cell]